1.
SrCa7Mn6Al2O20, optimized geometry, DFT GGA+U; polymorph energy (0 for the lowest one) = 0.000 eV per atom; energy of formation from the pure elements = -98.66 eV/f.u.; mass density = 3.9 Mg/m³; calculated volume = 12.78 Å³/atom
1.0
7.648 0.000 0.000
-0.002 7.751 0.000
-0.032 -0.040 7.761
Sr Ca Mn Al O
1 7 6 2 20
direct
0.000 0.000 0.000
0.002 0.515 0.489
0.007 0.995 0.483
0.498 0.511 0.942
0.498 0.996 0.475
0.502 0.523 0.466
0.503 0.019 0.935
0.984 0.519 0.036
0.247 0.753 0.714
0.256 0.755 0.217
0.286 0.261 0.217
0.739 0.757 0.720
0.752 0.260 0.238
0.756 0.761 0.236
0.226 0.262 0.735
0.776 0.264 0.751
0.008 0.746 0.265
0.026 0.278 0.262
0.202 0.736 0.966
0.276 0.052 0.664
0.278 0.464 0.650
0.296 0.003 0.194
0.296 0.764 0.458
0.308 0.264 0.949
0.317 0.514 0.206
0.490 0.762 0.774
0.515 0.253 0.330
0.689 0.764 0.469
0.698 0.059 0.693
0.703 0.467 0.684
0.749 0.510 0.244
0.751 0.267 0.976
0.765 0.754 0.982
0.770 0.012 0.245
0.992 0.764 0.674
0.998 0.259 0.696

***

2.
Na9Mn15O32, optimized geometry, DFT GGA+U; polymorph energy (0 for the lowest one) = 0.023 eV per atom; energy of formation from the pure elements = -106.33 eV/f.u.; mass density = 4.0 Mg/m³; calculated volume = 11.30 Å³/atom
1.0
5.961 0.000 0.000
2.967 5.348 0.000
2.793 -1.032 19.855
Na Mn O
9 15 32
direct
0.000 0.000 0.000
0.050 0.239 0.658
0.056 0.735 0.153
0.434 0.038 0.092
0.444 0.527 0.593
0.556 0.473 0.407
0.566 0.962 0.908
0.944 0.265 0.847
0.950 0.761 0.342
0.000 0.000 0.500
0.000 0.500 0.000
0.000 0.500 0.500
0.001 0.249 0.249
0.251 0.122 0.375
0.259 0.606 0.876
0.497 0.250 0.751
0.498 0.751 0.752
0.500 0.000 0.500
0.500 0.500 0.000
0.502 0.249 0.248
0.503 0.750 0.249
0.741 0.394 0.124
0.749 0.878 0.625
0.999 0.751 0.751
0.053 0.263 0.068
0.087 0.703 0.551
0.157 0.641 0.046
0.159 0.452 0.804
0.160 0.955 0.304
0.161 0.867 0.809
0.165 0.123 0.552
0.165 0.369 0.307
0.338 0.871 0.442
0.339 0.287 0.447
0.352 0.350 0.945
0.359 0.575 0.703
0.361 0.071 0.202
0.384 0.739 0.931
0.404 0.048 0.700
0.416 0.548 0.195
0.584 0.452 0.805
0.596 0.952 0.300
0.616 0.261 0.069
0.639 0.929 0.798
0.641 0.425 0.297
0.648 0.650 0.055
0.661 0.713 0.553
0.662 0.129 0.558
0.835 0.631 0.693
0.835 0.877 0.448
0.839 0.133 0.191
0.840 0.045 0.696
0.841 0.548 0.196
0.843 0.359 0.954
0.913 0.297 0.449
0.947 0.737 0.932

***

3.
Li9Mn7O16, optimized geometry, DFT GGA+U; polymorph energy (0 for the lowest one) = 0.042 eV per atom; energy of formation from the pure elements = -67.28 eV/f.u.; mass density = 3.9 Mg/m³; calculated volume = 9.44 Å³/atom
1.0
3.033 0.000 0.000
-0.353 5.100 0.000
-0.242 -1.633 19.520
Li Mn O
9 7 16
direct
0.000 0.000 0.000
0.055 0.691 0.119
0.188 0.062 0.375
0.313 0.437 0.625
0.431 0.827 0.883
0.569 0.173 0.117
0.687 0.563 0.375
0.812 0.938 0.625
0.945 0.309 0.881
0.121 0.376 0.249
0.250 0.750 0.500
0.378 0.124 0.751
0.500 0.500 0.000
0.622 0.876 0.249
0.750 0.250 0.500
0.879 0.624 0.751
0.010 0.634 0.946
0.069 0.042 0.192
0.183 0.709 0.308
0.191 0.416 0.442
0.309 0.083 0.558
0.321 0.790 0.692
0.425 0.462 0.806
0.462 0.181 0.941
0.538 0.819 0.059
0.575 0.538 0.194
0.679 0.210 0.308
0.691 0.917 0.442
0.809 0.584 0.558
0.817 0.291 0.692
0.931 0.958 0.808
0.990 0.366 0.054

***

4.
CsMoH2C2SO7, optimized geometry, DFT GGA+U; energy of formation from the pure elements = -19.58 eV/f.u.; mass density = 2.6 Mg/m³; calculated volume = 18.02 Å³/atom
1.0
9.986 0.000 0.000
0.000 16.837 0.000
-5.253 0.000 12.007
Cs Mo H C S O
8 8 16 16 8 56
direct
0.023 0.018 0.312
0.023 0.482 0.812
0.468 0.597 0.212
0.468 0.903 0.712
0.532 0.097 0.288
0.532 0.403 0.788
0.977 0.518 0.188
0.977 0.982 0.688
0.267 0.141 0.616
0.267 0.359 0.116
0.370 0.635 0.839
0.370 0.865 0.339
0.630 0.135 0.661
0.630 0.365 0.161
0.733 0.641 0.884
0.733 0.859 0.384
0.013 0.706 0.007
0.013 0.794 0.507
0.070 0.207 0.411
0.070 0.293 0.911
0.075 0.665 0.686
0.075 0.835 0.186
0.159 0.633 0.614
0.159 0.867 0.114
0.841 0.133 0.886
0.841 0.367 0.386
0.925 0.165 0.814
0.925 0.335 0.314
0.930 0.707 0.089
0.930 0.793 0.589
0.987 0.206 0.493
0.987 0.294 0.993
0.120 0.218 0.754
0.120 0.282 0.254
0.190 0.212 0.217
0.190 0.288 0.717
0.204 0.745 0.933
0.204 0.755 0.433
0.253 0.700 0.358
0.253 0.800 0.858
0.747 0.200 0.142
0.747 0.300 0.642
0.796 0.245 0.567
0.796 0.255 0.067
0.810 0.712 0.283
0.810 0.788 0.783
0.880 0.718 0.746
0.880 0.782 0.246
0.406 0.169 0.510
0.406 0.331 0.010
0.496 0.131 0.776
0.496 0.369 0.276
0.504 0.631 0.724
0.504 0.869 0.224
0.594 0.669 0.990
0.594 0.831 0.490
0.046 0.229 0.811
0.046 0.271 0.311
0.062 0.176 0.474
0.062 0.324 0.974
0.124 0.730 0.479
0.124 0.770 0.979
0.140 0.149 0.720
0.140 0.351 0.220
0.153 0.627 0.687
0.153 0.873 0.187
0.176 0.016 0.050
0.176 0.484 0.550
0.180 0.143 0.245
0.180 0.357 0.745
0.217 0.041 0.594
0.217 0.459 0.094
0.229 0.628 0.351
0.229 0.872 0.851
0.248 0.672 0.938
0.248 0.828 0.438
0.258 0.234 0.155
0.258 0.266 0.655
0.264 0.018 0.005
0.264 0.482 0.505
0.317 0.740 0.304
0.317 0.760 0.804
0.348 0.536 0.866
0.348 0.964 0.366
0.652 0.036 0.634
0.652 0.464 0.134
0.683 0.240 0.196
0.683 0.260 0.696
0.736 0.518 0.495
0.736 0.982 0.995
0.742 0.734 0.345
0.742 0.766 0.845
0.752 0.172 0.562
0.752 0.328 0.062
0.771 0.128 0.149
0.771 0.372 0.649
0.783 0.541 0.906
0.783 0.959 0.406
0.820 0.643 0.255
0.820 0.857 0.755
0.824 0.516 0.450
0.824 0.984 0.950
0.847 0.127 0.813
0.847 0.373 0.313
0.860 0.649 0.780
0.860 0.851 0.280
0.876 0.230 0.021
0.876 0.270 0.521
0.938 0.676 0.026
0.938 0.824 0.526
0.954 0.729 0.689
0.954 0.771 0.189

***

5.
Li9Mn2Co5O16, optimized geometry, DFT GGA+U; polymorph energy (0 for the lowest one) = 0.056 eV per atom; energy of formation from the pure elements = -57.86 eV/f.u.; mass density = 4.2 Mg/m³; calculated volume = 9.04 Å³/atom
1.0
2.963 0.000 0.000
1.453 6.327 0.000
0.797 0.355 15.430
Li Mn Co O
9 2 5 16
direct
0.000 0.000 0.000
0.027 0.888 0.177
0.173 0.629 0.560
0.284 0.383 0.932
0.423 0.131 0.311
0.547 0.888 0.684
0.659 0.650 0.057
0.793 0.387 0.433
0.927 0.126 0.809
0.360 0.247 0.117
0.473 0.013 0.497
0.100 0.763 0.370
0.235 0.512 0.747
0.603 0.767 0.876
0.719 0.511 0.244
0.863 0.263 0.623
0.036 0.965 0.591
0.048 0.802 0.780
0.166 0.698 0.957
0.191 0.554 0.158
0.262 0.456 0.332
0.301 0.312 0.532
0.419 0.217 0.713
0.464 0.037 0.895
0.505 0.965 0.092
0.574 0.813 0.284
0.630 0.712 0.461
0.725 0.554 0.655
0.742 0.471 0.839
0.843 0.316 0.038
0.862 0.206 0.203
0.905 0.068 0.405

***

6.
Fe4O5F3, optimized geometry, DFT GGA+U; polymorph energy (0 for the lowest one) = 0.650 eV per atom; energy of formation from the pure elements = -14.65 eV/f.u.; mass density = 4.4 Mg/m³; calculated volume = 11.34 Å³/atom
1.0
9.444 -3.047 0.000
9.444 3.047 0.000
-0.138 0.000 4.731
Fe O F
8 10 6
direct
0.000 0.500 0.000
0.134 0.134 0.471
0.245 0.755 0.000
0.373 0.373 0.566
0.500 0.000 0.000
0.627 0.627 0.434
0.755 0.245 0.000
0.866 0.866 0.529
0.050 0.050 0.182
0.073 0.575 0.716
0.204 0.204 0.803
0.425 0.927 0.284
0.452 0.452 0.825
0.548 0.548 0.175
0.575 0.073 0.716
0.796 0.796 0.197
0.927 0.425 0.284
0.950 0.950 0.818
0.173 0.670 0.328
0.303 0.303 0.213
0.330 0.827 0.672
0.670 0.173 0.328
0.697 0.697 0.787
0.827 0.330 0.672

***

7.
CoP4O12, optimized geometry, DFT GGA+U; polymorph energy (0 for the lowest one) = 0.017 eV per atom; energy of formation from the pure elements = -37.47 eV/f.u.; mass density = 2.8 Mg/m³; calculated volume = 13.30 Å³/atom
1.0
6.119 -4.218 0.000
6.119 4.218 0.000
-4.166 0.000 8.762
Co P O
2 8 24
direct
0.000 0.500 0.000
0.500 0.000 0.500
0.164 0.199 0.686
0.199 0.164 0.186
0.227 0.769 0.964
0.231 0.773 0.536
0.769 0.227 0.464
0.773 0.231 0.036
0.801 0.836 0.814
0.836 0.801 0.314
0.022 0.854 0.845
0.029 0.707 0.436
0.146 0.978 0.655
0.152 0.312 0.844
0.177 0.686 0.065
0.183 0.350 0.146
0.293 0.971 0.064
0.312 0.152 0.344
0.314 0.823 0.435
0.350 0.183 0.646
0.368 0.622 0.623
0.378 0.632 0.877
0.622 0.368 0.123
0.632 0.378 0.377
0.650 0.817 0.354
0.686 0.177 0.565
0.688 0.848 0.656
0.707 0.029 0.936
0.817 0.650 0.854
0.823 0.314 0.935
0.848 0.688 0.156
0.854 0.022 0.345
0.971 0.293 0.564
0.978 0.146 0.155

***

8.
Li2Ni2SbO6, optimized geometry, DFT GGA+U; polymorph energy (0 for the lowest one) = 0.000 eV per atom; energy of formation from the pure elements = -18.78 eV/f.u.; mass density = 4.9 Mg/m³; calculated volume = 10.80 Å³/atom
1.0
2.642 -4.457 0.000
2.642 4.457 0.000
-0.002 0.000 10.090
Li Ni Sb O
4 4 2 12
direct
0.115 0.115 0.250
0.385 0.382 0.750
0.618 0.615 0.250
0.885 0.885 0.750
0.090 0.910 0.500
0.420 0.580 0.500
0.582 0.418 0.000
0.912 0.088 0.000
0.244 0.756 0.000
0.758 0.242 0.500
0.070 0.228 0.614
0.095 0.567 0.401
0.231 0.068 0.886
0.281 0.437 0.107
0.433 0.905 0.599
0.439 0.279 0.393
0.563 0.719 0.893
0.569 0.093 0.098
0.721 0.561 0.607
0.772 0.930 0.386
0.907 0.431 0.902
0.932 0.769 0.114

***

Question: Number 5 is which compound?
Answer: Li9Mn2Co5O16